No. 1
5
Lattice="2.3609 4.4928 4.4173 -3.1905 5.7978 1.2155 -1.2985 -6.5876 -0.4337" Properties=species:S:1:pos:R:3 comment="BaIn2Pt2 (PBE, relaxed)" spacegroup="I4/mmm (139)" pbc="T T T"
Ba 0.0000 0.0000 0.0000
In 0.3238 1.5252 3.4000
In -2.4519 2.1777 1.7991
Pt -0.3182 3.9470 2.1605
Pt -0.5114 6.3436 3.4723

---

No. 2
16
Lattice="1.9332 -4.4497 1.5894 7.6939 0.8191 1.1342 -0.2770 -0.2591 7.8109" Properties=species:S:1:pos:R:3 comment="Ti5SiSb2 (PBE, relaxed)" spacegroup="I4/mcm (140)" corrected_energy_ev_per_atom=-7.33 pbc="T T T"
Ti 4.1918 -0.8324 4.8699
Ti 5.1584 -3.0573 5.6645
Ti 0.9864 -0.3976 5.8862
Ti 8.3637 -3.4920 4.6482
Ti 3.6539 -3.3276 2.6381
Ti 2.7483 -1.8960 7.7476
Ti 5.6963 -0.5621 7.8964
Ti 6.6019 -1.9937 2.7868
Ti 7.8188 -2.6306 7.7228
Ti 1.5314 -1.2591 2.8116
Si 0.4833 -1.1124 0.3973
Si 1.4499 -3.3373 1.1920
Sb 4.1171 -0.3659 2.1671
Sb 5.2330 -3.5238 8.3674
Sb 6.8856 -0.9446 5.3788
Sb 2.4645 -2.9451 5.1557

---

No. 3
6
Lattice="-1.4873 0.9538 5.0639 -4.4909 2.7554 1.0022 -4.2775 -2.4993 2.0546" Properties=species:S:1:pos:R:3 comment="CaRh2 (PBE, relaxed)" spacegroup="Fd-3m (227)" pbc="T T T"
Ca -5.1278 0.6049 4.0604
Ca -7.6918 0.9074 6.0906
Rh -3.4207 -1.0984 2.0424
Rh -3.5274 1.5289 1.5162
Rh -1.2820 0.1512 1.0151
Rh -2.0256 0.6281 3.5470

---

No. 4
68
Lattice="-1.1970 -2.6089 -7.1300 8.4699 0.6652 -1.6654 9.2189 -8.2043 1.4543" Properties=species:S:1:pos:R:3 comment="TbZnB5O10 (PBE, relaxed)" spacegroup="P2_1/c (14)" corrected_energy_ev_per_atom=-8.15 pbc="T T T"
Tb 10.0075 -1.8291 -2.5320
Tb 2.0338 -3.8703 -4.5892
Tb 6.4842 -8.3190 -4.8091
Tb 14.4580 -6.2777 -2.7519
Zn 4.7549 -1.7890 -3.5369
Zn 6.7455 -5.0893 -6.8063
Zn 11.7369 -8.3590 -3.8042
Zn 9.7463 -5.0588 -0.5349
B 7.2744 -3.1430 -4.8246
B 12.6122 -7.6240 -0.8745
B 8.6406 -6.2958 -4.8365
B 3.8796 -2.5240 -6.4666
B 7.8511 -3.8522 -2.5046
B 10.6519 -5.8035 -7.0974
B 0.8783 -1.0097 -3.0679
B 5.8399 -4.3446 -0.2437
B 15.6134 -9.1383 -4.2732
B 5.0300 -1.9829 -0.7295
B 9.2174 -7.0050 -2.5165
B 11.4618 -8.1651 -6.6116
B 3.9970 -4.0464 -1.8805
B 7.7066 -2.3891 -7.2525
B 12.4948 -6.1017 -5.4606
B 8.7852 -7.7590 -0.0886
B 5.8144 -4.8318 -3.6059
B 6.5928 -0.0702 -1.3361
B 10.6774 -5.3162 -3.7352
B 9.8990 -10.0779 -6.0050
O 3.8814 -2.6619 -1.3588
O 3.4388 -1.9986 -5.2633
O 8.6738 -3.5454 -1.4334
O 13.0530 -8.1494 -2.0778
O 7.8180 -6.6026 -5.9077
O 1.6185 -2.1332 -3.1749
O 9.7980 -4.9280 -7.6682
O 14.8733 -8.0148 -4.1663
O 8.1136 -3.1382 -6.0379
O 6.6938 -5.2200 0.3271
O 8.3782 -7.0098 -1.3032
O 12.6104 -7.4861 -5.9823
O 6.3848 -1.9282 -4.7752
O 6.0191 -2.9807 -0.1859
O 10.1069 -8.2198 -2.5659
O 10.4727 -7.1673 -7.1552
O 8.1149 -3.0837 -3.6186
O 3.3880 -3.7891 -6.7097
O 8.3769 -7.0643 -3.7225
O 13.1038 -6.3589 -0.6314
O 6.4204 -4.3432 -4.8511
O 5.7080 -1.1663 -1.7511
O 10.0714 -5.8049 -2.4900
O 10.7838 -8.9818 -5.5900
O 4.6604 -3.9360 -3.2232
O 6.6990 -3.2494 -7.9595
O 11.8314 -6.2120 -4.1179
O 9.7928 -6.8986 0.6184
O 11.0770 -3.8770 -3.6914
O 0.4646 -2.9113 -6.4059
O 5.4148 -6.2710 -3.6497
O 11.7603 -8.2357 0.0045
O 4.7550 -4.8824 -0.9392
O 16.3879 -9.2771 -5.4269
O 11.7368 -5.2657 -6.4019
O 0.1039 -0.8709 -1.9142
O 6.8512 -4.7865 -2.5070
O 4.7315 -1.9123 -7.3456
O 9.6406 -5.3616 -4.8341
O 16.0272 -7.2367 -0.9352

---

Computed total energy (eV/atom) in order:
-4.58; -7.28; -5.99; -7.75
Computed energy relative to the elements (eV per atom) in order:
-0.665; -0.688; -0.411; -2.929